PBE-GGA HoCoSi2, relaxed; energy of formation = -3.0 eV/f.u.
1.0
1.998 -8.071 0.000
1.998 8.071 0.000
0.000 0.000 3.956
Ho Co Si
2 2 4
direct
0.107 0.893 0.750
0.893 0.107 0.250
0.321 0.679 0.750
0.679 0.321 0.250
0.250 0.750 0.250
0.458 0.542 0.750
0.542 0.458 0.250
0.750 0.250 0.750